Density functional theory data (PBE) for crystalline EuNi10P6 at its relaxed geometry.

```
EuNi10P6
1.0
15.949 0.000 0.000
0.000 6.470 0.000
0.000 0.000 8.740
Eu Ni P
4 40 24
Cartesian
3.968 1.617 0.154 Eu
4.007 4.852 4.525 Eu
11.943 1.617 4.216 Eu
11.982 4.852 8.586 Eu
0.660 4.852 2.711 Ni
0.868 1.617 1.979 Ni
1.199 3.559 0.431 Ni
1.199 6.146 0.431 Ni
1.232 0.313 4.266 Ni
1.232 2.922 4.266 Ni
1.334 3.240 6.715 Ni
1.334 6.465 6.715 Ni
3.287 1.617 3.453 Ni
3.324 4.852 1.196 Ni
4.651 1.617 5.566 Ni
4.688 4.852 7.823 Ni
6.640 0.005 2.345 Ni
6.640 3.230 2.345 Ni
6.742 3.548 8.636 Ni
6.742 6.157 8.636 Ni
6.776 0.324 4.802 Ni
6.776 2.911 4.802 Ni
7.107 4.852 6.350 Ni
7.315 1.617 7.081 Ni
8.634 4.852 1.659 Ni
8.843 1.617 2.391 Ni
9.173 3.559 3.939 Ni
9.173 6.146 3.939 Ni
9.207 0.313 0.104 Ni
9.207 2.922 0.104 Ni
9.309 3.240 6.395 Ni
9.309 6.465 6.395 Ni
11.262 1.617 0.917 Ni
11.298 4.852 3.174 Ni
12.626 1.617 7.544 Ni
12.663 4.852 5.287 Ni
14.615 0.005 2.025 Ni
14.615 3.230 2.025 Ni
14.717 3.548 4.474 Ni
14.717 6.157 4.474 Ni
14.751 0.324 8.309 Ni
14.751 2.911 8.309 Ni
15.081 4.852 6.761 Ni
15.290 1.617 6.029 Ni
0.638 4.852 5.085 P
0.678 1.617 8.260 P
2.332 3.288 2.352 P
2.332 6.417 2.352 P
2.483 1.617 5.641 P
2.520 4.852 7.786 P
5.455 1.617 3.416 P
5.491 4.852 1.271 P
5.643 0.053 6.722 P
5.643 3.182 6.722 P
7.297 4.852 3.889 P
7.336 1.617 0.715 P
8.613 4.852 8.025 P
8.652 1.617 4.851 P
10.306 3.288 2.018 P
10.306 6.417 2.018 P
10.458 1.617 7.469 P
10.495 4.852 5.324 P
13.429 1.617 0.954 P
13.466 4.852 3.099 P
13.618 0.053 6.389 P
13.618 3.182 6.389 P
15.272 4.852 0.481 P
15.311 1.617 3.655 P
```

Properties
DFT formation energy   -0.64 eV per atom